Here is an optimized crystal structure of Ca3GeO4F from Materials Project. Energies are from PBE-GGA.

- space-group type = Pnma, No. 62
- energy of formation from the pure elements (kcal/mol of atoms) = -68.45
- M_tot (μB/cell) = 0.017

a = 5.3981 Å, b = 7.5114 Å, c = 13.3008 Å
α = 90.00°, β = 90.00°, γ = 90.00°
Last column: nearest neighbours and their distance in Å.
Sites, in units of the cell vectors:
Ca (0.2322, 0.0063, 0.1699)  4 O 2.35-2.39, 2 F 2.48-2.56
Ca (0.2322, 0.4937, 0.1699)  4 O 2.35-2.39, 2 F 2.48-2.56
Ca (0.2408, 0.7500, 0.9133)  4 O 2.35-2.38, 1 F 2.40
Ca (0.2592, 0.2500, 0.4133)  4 O 2.35-2.38, 1 F 2.40
Ca (0.2678, 0.5063, 0.6699)  4 O 2.35-2.39, 2 F 2.48-2.56
Ca (0.2678, 0.9937, 0.6699)  4 O 2.35-2.39, 2 F 2.48-2.56
Ca (0.7322, 0.0063, 0.3301)  4 O 2.35-2.39, 2 F 2.48-2.56
Ca (0.7322, 0.4937, 0.3301)  4 O 2.35-2.39, 2 F 2.48-2.56
Ca (0.7408, 0.7500, 0.5867)  4 O 2.35-2.38, 1 F 2.40
Ca (0.7592, 0.2500, 0.0867)  4 O 2.35-2.38, 1 F 2.40
Ca (0.7678, 0.5063, 0.8301)  4 O 2.35-2.39, 2 F 2.48-2.56
Ca (0.7678, 0.9937, 0.8301)  4 O 2.35-2.39, 2 F 2.48-2.56
Ge (0.2190, 0.7500, 0.4180)  4 O 1.91-1.94
Ge (0.2810, 0.2500, 0.9180)  4 O 1.91-1.94
Ge (0.7190, 0.7500, 0.0820)  4 O 1.91-1.94
Ge (0.7810, 0.2500, 0.5820)  4 O 1.91-1.94
O (0.1353, 0.2500, 0.5823)  1 Ge 1.91
O (0.1960, 0.2500, 0.0600)  1 Ge 1.94
O (0.2050, 0.0406, 0.8428)  1 Ge 1.91
O (0.2050, 0.4594, 0.8428)  1 Ge 1.91
O (0.2950, 0.5406, 0.3428)  1 Ge 1.91
O (0.2950, 0.9594, 0.3428)  1 Ge 1.91
O (0.3040, 0.7500, 0.5600)  1 Ge 1.94
O (0.3647, 0.7500, 0.0823)  1 Ge 1.91
O (0.6353, 0.2500, 0.9177)  1 Ge 1.91
O (0.6960, 0.2500, 0.4400)  1 Ge 1.94
O (0.7050, 0.0406, 0.6572)  1 Ge 1.91
O (0.7050, 0.4594, 0.6572)  1 Ge 1.91
O (0.7950, 0.5406, 0.1572)  1 Ge 1.91
O (0.7950, 0.9594, 0.1572)  1 Ge 1.91
O (0.8040, 0.7500, 0.9400)  1 Ge 1.94
O (0.8647, 0.7500, 0.4177)  1 Ge 1.91
F (0.0005, 0.2500, 0.2666)  5 Ca 2.40-2.56
F (0.9995, 0.7500, 0.7334)  5 Ca 2.40-2.56
F (0.5005, 0.2500, 0.2334)  5 Ca 2.40-2.56
F (0.4995, 0.7500, 0.7666)  5 Ca 2.40-2.56

---

Here is an optimized crystal structure of Sr3Sm2B4O12 from Materials Project. Energies are from PBE-GGA.

- space-group type = Pna2_1, No. 33
- energy of formation from the pure elements (kcal/mol of atoms) = -77.36
- M_tot (μB/cell) = 0.001

a = 7.4227 Å, b = 8.8011 Å, c = 16.5694 Å
α = 90.00°, β = 90.00°, γ = 90.00°
Last column: nearest neighbours and their distance in Å.
Sites, in units of the cell vectors:
Sr (0.0286, 0.1705, 0.0000)  6 O 2.47-2.69
Sr (0.1796, 0.6520, 0.9553)  6 O 2.50-2.79
Sr (0.1871, 0.6492, 0.7061)  5 O 2.49-2.67
Sr (0.3129, 0.1492, 0.2061)  5 O 2.49-2.67
Sr (0.3204, 0.1520, 0.4553)  6 O 2.50-2.79
Sr (0.4714, 0.6705, 0.5000)  6 O 2.47-2.69
Sr (0.5286, 0.3295, 0.0000)  6 O 2.47-2.69
Sr (0.6796, 0.8480, 0.9553)  6 O 2.50-2.79
Sr (0.6871, 0.8508, 0.7061)  5 O 2.49-2.67
Sr (0.8129, 0.3508, 0.2061)  5 O 2.49-2.67
Sr (0.8204, 0.3480, 0.4553)  6 O 2.50-2.79
Sr (0.9714, 0.8295, 0.5000)  6 O 2.47-2.69
Sm (0.0308, 0.1705, 0.6616)  6 O 2.31-2.55
Sm (0.1819, 0.5348, 0.3319)  8 O 2.34-2.58
Sm (0.3181, 0.0348, 0.8319)  8 O 2.34-2.58
Sm (0.4692, 0.6705, 0.1616)  6 O 2.31-2.55
Sm (0.5308, 0.3295, 0.6616)  6 O 2.31-2.55
Sm (0.6819, 0.9652, 0.3319)  8 O 2.34-2.58
Sm (0.8181, 0.4652, 0.8319)  8 O 2.34-2.58
Sm (0.9692, 0.8295, 0.1616)  6 O 2.31-2.55
B (0.0082, 0.1274, 0.3286)  3 O 1.39-1.41
B (0.1608, 0.4553, 0.1263)  3 O 1.38-1.40
B (0.1705, 0.4389, 0.5396)  3 O 1.38-1.40
B (0.2169, 0.3539, 0.8291)  3 O 1.37-1.40
B (0.2831, 0.8539, 0.3291)  3 O 1.37-1.40
B (0.3295, 0.9389, 0.0396)  3 O 1.38-1.40
B (0.3392, 0.9553, 0.6263)  3 O 1.38-1.40
B (0.4918, 0.6274, 0.8286)  3 O 1.39-1.41
B (0.5082, 0.3726, 0.3286)  3 O 1.39-1.41
B (0.6608, 0.0447, 0.1263)  3 O 1.38-1.40
B (0.6705, 0.0611, 0.5396)  3 O 1.38-1.40
B (0.7169, 0.1461, 0.8291)  3 O 1.37-1.40
B (0.7831, 0.6461, 0.3291)  3 O 1.37-1.40
B (0.8295, 0.5611, 0.0396)  3 O 1.38-1.40
B (0.8392, 0.5447, 0.6263)  3 O 1.38-1.40
B (0.9918, 0.8726, 0.8286)  3 O 1.39-1.41
O (0.0471, 0.9480, 0.7575)  1 B 1.41
O (0.0574, 0.9291, 0.9011)  1 B 1.39
O (0.0927, 0.2945, 0.5422)  1 B 1.40
O (0.0929, 0.3096, 0.1261)  1 B 1.38
O (0.0954, 0.5626, 0.1816)  1 B 1.40
O (0.1109, 0.2589, 0.3259)  1 B 1.39
O (0.1163, 0.5378, 0.4797)  1 B 1.38
O (0.1318, 0.4916, 0.8324)  1 B 1.37
O (0.1946, 0.9738, 0.0948)  1 B 1.39
O (0.1987, 0.9970, 0.5756)  1 B 1.39
O (0.2321, 0.7758, 0.3976)  1 B 1.38
O (0.2456, 0.2797, 0.7557)  1 B 1.40
O (0.2544, 0.7797, 0.2557)  1 B 1.40
O (0.2679, 0.2758, 0.8976)  1 B 1.38
O (0.3013, 0.4970, 0.0756)  1 B 1.39
O (0.3054, 0.4738, 0.5948)  1 B 1.39
O (0.3682, 0.9916, 0.3324)  1 B 1.37
O (0.3837, 0.0378, 0.9797)  1 B 1.38
O (0.3891, 0.7589, 0.8259)  1 B 1.39
O (0.4046, 0.0626, 0.6816)  1 B 1.40
O (0.4073, 0.7945, 0.0422)  1 B 1.40
O (0.4071, 0.8096, 0.6261)  1 B 1.38
O (0.4426, 0.4291, 0.4011)  1 B 1.39
O (0.4529, 0.4480, 0.2575)  1 B 1.41
O (0.5471, 0.5520, 0.7575)  1 B 1.41
O (0.5574, 0.5709, 0.9011)  1 B 1.39
O (0.5929, 0.1904, 0.1261)  1 B 1.38
O (0.5927, 0.2055, 0.5422)  1 B 1.40
O (0.5954, 0.9374, 0.1816)  1 B 1.40
O (0.6109, 0.2411, 0.3259)  1 B 1.39
O (0.6163, 0.9622, 0.4797)  1 B 1.38
O (0.6318, 0.0084, 0.8324)  1 B 1.37
O (0.6946, 0.5262, 0.0948)  1 B 1.39
O (0.6987, 0.5030, 0.5756)  1 B 1.39
O (0.7321, 0.7242, 0.3976)  1 B 1.38
O (0.7456, 0.2203, 0.7557)  1 B 1.40
O (0.7544, 0.7203, 0.2557)  1 B 1.40
O (0.7679, 0.2242, 0.8976)  1 B 1.38
O (0.8013, 0.0030, 0.0756)  1 B 1.39
O (0.8054, 0.0262, 0.5948)  1 B 1.39
O (0.8682, 0.5084, 0.3324)  1 B 1.37
O (0.8837, 0.4622, 0.9797)  1 B 1.38
O (0.8891, 0.7411, 0.8259)  1 B 1.39
O (0.9046, 0.4374, 0.6816)  1 B 1.40
O (0.9071, 0.6904, 0.6261)  1 B 1.38
O (0.9073, 0.7055, 0.0422)  1 B 1.40
O (0.9426, 0.0709, 0.4011)  1 B 1.39
O (0.9529, 0.0520, 0.2575)  1 B 1.41

---

Here is an optimized crystal structure of Pm3Ti from Materials Project. Energies are from PBE-GGA.

- space-group type = Pm-3m, No. 221
- energy of formation from the pure elements (kcal/mol of atoms) = 5.54
- M_tot (μB/cell) = 0.003

a = 4.8988 Å, b = 4.8988 Å, c = 4.8988 Å
α = 90.00°, β = 90.00°, γ = 90.00°
Last column: nearest neighbours and their distance in Å.
Sites, in units of the cell vectors:
Pm (0.0000, 0.0000, 0.5000)  8 Pm 3.46, 4 Ti 3.46
Pm (0.0000, 0.5000, 0.0000)  8 Pm 3.46, 4 Ti 3.46
Pm (0.5000, 0.0000, 0.0000)  8 Pm 3.46, 4 Ti 3.46
Ti (0.5000, 0.5000, 0.5000)  12 Pm 3.46

---

Here is an optimized crystal structure of Mn2Sb from Materials Project. Energies are from PBE-GGA.

- space-group type = F-43m, No. 216
- energy of formation from the pure elements (kcal/mol of atoms) = 5.47
- M_tot (μB/cell) = 3.655

a = 4.2480 Å, b = 4.2480 Å, c = 4.2480 Å
α = 60.00°, β = 60.00°, γ = 60.00°
Last column: nearest neighbours and their distance in Å.
Sites, in units of the cell vectors:
Mn (0.0000, 0.0000, 0.0000)  4 Mn 2.60
Mn (0.2500, 0.2500, 0.2500)  4 Sb 2.60, 4 Mn 2.60
Sb (0.5000, 0.5000, 0.5000)  4 Mn 2.60

---

Here is an optimized crystal structure of CsHgCl3 from Materials Project. Energies are from PBE-GGA.

- space-group type = P2_1/c, No. 14
- energy of formation from the pure elements (kcal/mol of atoms) = -35.48
- M_tot (μB/cell) = 0.005
- excess energy over the best structure of this formula in the dataset (meV/atom) = 18

a = 9.5520 Å, b = 15.7079 Å, c = 10.9689 Å
α = 90.00°, β = 124.92°, γ = 90.00°
Last column: nearest neighbours and their distance in Å.
Sites, in units of the cell vectors:
Cs (0.0000, 0.0000, 0.0000)  12 Cl 3.88-4.00
Cs (0.0000, 0.0000, 0.5000)  12 Cl 3.86-4.00
Cs (0.0000, 0.5000, 0.0000)  12 Cl 3.86-4.00
Cs (0.0000, 0.5000, 0.5000)  12 Cl 3.88-4.00
Cs (0.4957, 0.2478, 0.2526)  12 Cl 3.79-4.04
Cs (0.4957, 0.2522, 0.7526)  12 Cl 3.79-4.04
Cs (0.5043, 0.7478, 0.2474)  12 Cl 3.79-4.04
Cs (0.5043, 0.7522, 0.7474)  12 Cl 3.79-4.04
Hg (0.0071, 0.2434, 0.7570)  5 Cl 2.55-2.75
Hg (0.0071, 0.2566, 0.2570)  5 Cl 2.55-2.75
Hg (0.5000, 0.0000, 0.0000)  4 Cl 2.47-2.71
Hg (0.5000, 0.0000, 0.5000)  2 Cl 2.38
Hg (0.5000, 0.5000, 0.0000)  2 Cl 2.38
Hg (0.5000, 0.5000, 0.5000)  4 Cl 2.47-2.71
Hg (0.9929, 0.7434, 0.7430)  5 Cl 2.55-2.75
Hg (0.9929, 0.7566, 0.2430)  5 Cl 2.55-2.75
Cl (0.0206, 0.7494, 0.5068)  2 Hg 2.75
Cl (0.0206, 0.7506, 0.0068)  2 Hg 2.75
Cl (0.2214, 0.1345, 0.3613)  1 Hg 2.55
Cl (0.2214, 0.3655, 0.8613)  1 Hg 2.55
Cl (0.2322, 0.6332, 0.8628)  1 Hg 2.55
Cl (0.2322, 0.8668, 0.3628)  1 Hg 2.55
Cl (0.2601, 0.1246, 0.8874)  2 Hg 2.71-2.72
Cl (0.2601, 0.3754, 0.3874)  2 Hg 2.71-2.72
Cl (0.2749, 0.6103, 0.3853)  1 Hg 2.47
Cl (0.2749, 0.8897, 0.8853)  1 Hg 2.47
Cl (0.4911, 0.0015, 0.7129)  1 Hg 2.38
Cl (0.4911, 0.4985, 0.2129)  1 Hg 2.38
Cl (0.5089, 0.5015, 0.7871)  1 Hg 2.38
Cl (0.5089, 0.9985, 0.2871)  1 Hg 2.38
Cl (0.7251, 0.1103, 0.1147)  1 Hg 2.47
Cl (0.7251, 0.3897, 0.6147)  1 Hg 2.47
Cl (0.7399, 0.6246, 0.6126)  2 Hg 2.71-2.72
Cl (0.7399, 0.8754, 0.1126)  2 Hg 2.71-2.72
Cl (0.7678, 0.1332, 0.6372)  1 Hg 2.55
Cl (0.7678, 0.3668, 0.1372)  1 Hg 2.55
Cl (0.7786, 0.6345, 0.1387)  1 Hg 2.55
Cl (0.7786, 0.8655, 0.6387)  1 Hg 2.55
Cl (0.9794, 0.2494, 0.9932)  2 Hg 2.75
Cl (0.9794, 0.2506, 0.4932)  2 Hg 2.75

---

Here is an optimized crystal structure of Na8La2Hf2Si5SO24 from Materials Project. Energies are from PBE-GGA.

- space-group type = P1, No. 1
- energy of formation from the pure elements (kcal/mol of atoms) = -69.32
- M_tot (μB/cell) = 0.000

a = 9.5161 Å, b = 9.5206 Å, c = 23.1079 Å
α = 90.13°, β = 90.13°, γ = 119.92°
Last column: nearest neighbours and their distance in Å.
Sites, in units of the cell vectors:
Na (0.0000, 0.0000, 0.0000)  5 O 2.47-2.74
Na (0.0033, 0.6417, 0.7572)  4 O 2.44-2.71
Na (0.0056, 0.2817, 0.4902)  4 O 2.48-2.78
Na (0.0098, 0.6392, 0.2526)  6 O 2.56-2.76
Na (0.0435, 0.9501, 0.6858)  3 O 2.28-2.53
Na (0.0471, 0.3263, 0.1656)  2 O 2.38-2.62
Na (0.2861, 0.9475, 0.1772)  3 O 2.36-2.54
Na (0.3175, 0.2956, 0.0806)  4 O 2.45-2.65
Na (0.3195, 0.6060, 0.6739)  5 O 2.52-2.77
Na (0.3230, 0.9283, 0.8395)  2 O 2.43-2.70
Na (0.3355, 0.6504, 0.3358)  2 O 2.42-2.49
Na (0.3705, 0.3141, 0.5867)  4 O 2.46-2.67
Na (0.3726, 0.6289, 0.0007)  5 O 2.49-2.78
Na (0.3859, 0.0055, 0.4923)  4 O 2.42-2.64
Na (0.6138, 0.6076, 0.5034)  5 O 2.49-2.73
Na (0.6353, 0.2560, 0.9923)  4 O 2.48-2.71
Na (0.6474, 0.3302, 0.6697)  6 O 2.47-2.74
Na (0.6537, 0.9639, 0.4146)  3 O 2.45-2.57
Na (0.6631, 0.6075, 0.1703)  4 O 2.52-2.72
Na (0.6714, 0.9638, 0.9189)  6 O 2.55-2.63
Na (0.6833, 0.2839, 0.3383)  2 O 2.45
Na (0.7028, 0.6483, 0.8391)  1 O 2.40
Na (0.9728, 0.2965, 0.8431)  4 O 2.42-2.68
Na (0.9843, 0.9380, 0.3315)  2 O 2.38-2.55
La (0.0021, 0.6264, 0.6053)  6 O 2.28-2.56
La (0.3300, 0.2944, 0.2431)  6 O 2.30-2.56
La (0.3395, 0.2994, 0.4246)  6 O 2.30-2.53
La (0.3423, 0.2962, 0.7487)  5 O 2.28-2.45
La (0.6501, 0.9524, 0.5678)  4 O 2.21-2.45
La (0.6696, 0.9534, 0.0645)  6 O 2.28-2.47
Hf (0.0024, 0.6278, 0.9022)  6 O 2.02-2.12
Hf (0.0114, 0.6401, 0.0986)  5 O 1.98-2.16
Hf (0.3341, 0.2939, 0.9353)  6 O 2.08-2.17
Hf (0.6543, 0.9468, 0.7762)  5 O 2.02-2.15
Hf (0.6651, 0.9451, 0.2665)  5 O 1.98-2.08
Hf (0.9992, 0.6153, 0.4002)  5 O 2.00-2.11
Si (0.0064, 0.2864, 0.3342)  4 O 1.63-1.66
Si (0.0155, 0.3457, 0.0007)  4 O 1.63-1.68
Si (0.0259, 0.9870, 0.8370)  4 O 1.62-1.68
Si (0.2883, 0.9304, 0.9990)  4 O 1.62-1.69
Si (0.2978, 0.6209, 0.5012)  4 O 1.63-1.66
Si (0.3299, 0.5969, 0.8365)  4 O 1.62-1.67
Si (0.3355, 0.9691, 0.3347)  4 O 1.64-1.65
Si (0.3575, 0.6573, 0.1649)  4 O 1.62-1.67
Si (0.3687, 0.9637, 0.6738)  4 O 1.64-1.67
Si (0.6439, 0.2929, 0.8375)  4 O 1.63-1.68
Si (0.6595, 0.6149, 0.3343)  4 O 1.63-1.66
Si (0.6680, 0.6633, 0.6715)  4 O 1.64-1.68
Si (0.7007, 0.3282, 0.5011)  4 O 1.64-1.67
Si (0.7041, 0.6107, 0.0003)  4 O 1.63-1.67
Si (0.9703, 0.9532, 0.1658)  4 O 1.62-1.68
S (0.0050, 0.9260, 0.4979)  4 O 1.48-1.50
S (0.6792, 0.2678, 0.1684)  4 O 1.48-1.49
S (0.9595, 0.2497, 0.6744)  4 O 1.48-1.49
O (0.0065, 0.8255, 0.4483)  1 S 1.50
O (0.0073, 0.4459, 0.9452)  1 Si 1.63
O (0.0123, 0.8527, 0.5533)  1 S 1.48
O (0.0295, 0.4546, 0.0599)  1 Si 1.68
O (0.0744, 0.2324, 0.3898)  1 Si 1.63
O (0.1243, 0.2714, 0.6761)  1 S 1.48
O (0.1293, 0.0436, 0.7774)  1 Si 1.62
O (0.1344, 0.1222, 0.8886)  1 Si 1.68
O (0.1349, 0.3426, 0.2807)  1 Si 1.63
O (0.1490, 0.0895, 0.4957)  1 S 1.48
O (0.1567, 0.1037, 0.1735)  1 Si 1.64
O (0.1772, 0.6177, 0.4484)  1 Si 1.66
O (0.1779, 0.6499, 0.1646)  1 Si 1.67
O (0.1786, 0.7863, 0.3450)  1 Si 1.65
O (0.1785, 0.8346, 0.0580)  1 Si 1.69
O (0.1816, 0.6347, 0.8475)  1 Si 1.64
O (0.1829, 0.3317, 0.9964)  1 Si 1.67
O (0.1893, 0.8163, 0.9443)  1 Si 1.62
O (0.1972, 0.7902, 0.6796)  1 Si 1.65
O (0.2139, 0.6163, 0.5634)  1 Si 1.63
O (0.2833, 0.4963, 0.7762)  1 Si 1.62
O (0.2868, 0.0443, 0.2796)  1 Si 1.64
O (0.2952, 0.1073, 0.9955)  1 Si 1.66
O (0.3126, 0.4559, 0.4985)  1 Si 1.65
O (0.3358, 0.4754, 0.1709)  1 Si 1.65
O (0.3395, 0.1195, 0.6749)  1 Si 1.64
O (0.3595, 0.4908, 0.8879)  1 Si 1.67
O (0.3843, 0.0895, 0.3910)  1 Si 1.64
O (0.4562, 0.7321, 0.1052)  1 Si 1.62
O (0.4596, 0.9807, 0.6118)  1 Si 1.64
O (0.4667, 0.7792, 0.2193)  1 Si 1.67
O (0.4715, 0.9563, 0.9991)  1 Si 1.63
O (0.4754, 0.7862, 0.4920)  1 Si 1.65
O (0.4889, 0.9665, 0.7274)  1 Si 1.67
O (0.4955, 0.9493, 0.3224)  1 Si 1.65
O (0.5017, 0.4847, 0.6719)  1 Si 1.65
O (0.5017, 0.7755, 0.8332)  1 Si 1.67
O (0.5063, 0.2643, 0.8886)  1 Si 1.68
O (0.5147, 0.2979, 0.4983)  1 Si 1.65
O (0.5236, 0.4436, 0.9957)  1 Si 1.66
O (0.5354, 0.5452, 0.3890)  1 Si 1.63
O (0.5394, 0.2962, 0.1732)  1 S 1.49
O (0.5890, 0.4902, 0.2794)  1 Si 1.63
O (0.5913, 0.3433, 0.7775)  1 Si 1.63
O (0.6535, 0.1239, 0.8338)  1 Si 1.66
O (0.6581, 0.1777, 0.1139)  1 S 1.48
O (0.6664, 0.7442, 0.6088)  1 Si 1.64
O (0.6670, 0.7811, 0.7253)  1 Si 1.68
O (0.6767, 0.7944, 0.3223)  1 Si 1.66
O (0.6833, 0.7720, 0.9982)  1 Si 1.64
O (0.6838, 0.1715, 0.2186)  1 S 1.49
O (0.7063, 0.1587, 0.4926)  1 Si 1.65
O (0.7761, 0.4167, 0.5635)  1 Si 1.64
O (0.7996, 0.5985, 0.0594)  1 Si 1.67
O (0.8116, 0.4524, 0.4482)  1 Si 1.67
O (0.8152, 0.6225, 0.9451)  1 Si 1.63
O (0.8254, 0.1341, 0.3187)  1 Si 1.64
O (0.8285, 0.4450, 0.8490)  1 Si 1.65
O (0.8345, 0.6522, 0.6794)  1 Si 1.65
O (0.8349, 0.4257, 0.1682)  1 S 1.49
O (0.8454, 0.6528, 0.3461)  1 Si 1.64
O (0.8468, 0.9399, 0.2195)  1 Si 1.67
O (0.8485, 0.9803, 0.8323)  1 Si 1.66
O (0.8523, 0.1658, 0.9990)  1 Si 1.64
O (0.8537, 0.9354, 0.4937)  1 S 1.49
O (0.8597, 0.1493, 0.7236)  1 S 1.49
O (0.8863, 0.1699, 0.6180)  1 S 1.49
O (0.9033, 0.9904, 0.1064)  1 Si 1.62
O (0.9662, 0.4095, 0.6782)  1 S 1.49
O (0.9675, 0.7758, 0.1639)  1 Si 1.68
O (0.9790, 0.4432, 0.3453)  1 Si 1.66
O (0.9932, 0.8015, 0.8475)  1 Si 1.65

---

- Which value of M_tot does entry 4 give?
  3.655 μB/cell